# 1
Density functional theory data (PBE) for ZrFeCo after structural relaxation.

Computed properties:
For the size of the total moment, the calculation gives 4.24 μB per cell. Its formation energy is -290 meV/atom.

Lattice parameters (Å, degrees): 4.9380 4.9380 4.9380 121.00 118.59 90.37
Element x y z (fractional)
Zr 0.1288 0.8788 0.2500
Zr 0.8712 0.1212 0.7500
Fe 0.5000 0.5000 0.5000
Fe 0.5000 0.0000 0.0000
Co 0.5000 0.5000 0.0000
Co 0.0000 0.5000 0.5000

# 2
Density functional theory data (PBE) for BaSrSi4N4O4 after structural relaxation.

Computed properties:
For the size of the total moment, the calculation gives 0.00 μB per cell. Its formation energy is -2237 meV/atom.

Lattice parameters (Å, degrees): 7.3492 7.3964 7.4485 87.99 76.70 83.39
Element x y z (fractional)
Ba 0.7041 0.8216 0.7905
Ba 0.7083 0.3141 0.7583
Sr 0.2123 0.8126 0.7493
Sr 0.2024 0.3139 0.7845
Si 0.3740 0.4014 0.2143
Si 0.5791 0.6462 0.4062
Si 0.9896 0.5541 0.4147
Si 0.7868 0.3043 0.2166
Si 0.2789 0.8075 0.2149
Si 0.0835 0.1466 0.4139
Si 0.8779 0.8986 0.2193
Si 0.4863 0.0563 0.4111
N 0.2056 0.5902 0.2740
N 0.3084 0.2196 0.3673
N 0.4308 0.8395 0.3617
N 0.5838 0.4636 0.2618
N 0.8070 0.7148 0.3712
N 0.9290 0.3369 0.3728
N 0.7061 0.0880 0.2723
N 0.0780 0.9628 0.2790
O 0.9963 0.5601 0.6350
O 0.9036 0.3145 0.0060
O 0.3766 0.8236 0.9989
O 0.4791 0.0658 0.6336
O 0.5071 0.5903 0.6249
O 0.9258 0.8377 0.0062
O 0.3994 0.3424 0.0029
O 0.0302 0.0884 0.6339

# 3
Density functional theory data (PBE) for PmInAu2 after structural relaxation.

Computed properties:
Its formation energy is -694 meV/atom.

Lattice parameters (Å, degrees): 5.0408 5.0408 5.0408 60.00 60.00 60.00
Element x y z (fractional)
Pm 0.5000 0.5000 0.5000
In 0.0000 0.0000 0.0000
Au 0.2500 0.2500 0.2500
Au 0.7500 0.7500 0.7500

# 4
Density functional theory data (PBE) for PH2F3 after structural relaxation.

Computed properties:
As for the maximum piezoelectric response: 0.22 C/m2. Its formation energy is -1788 meV/atom.

Lattice parameters (Å, degrees): 5.0898 5.0898 6.2786 90.00 90.00 107.57
Element x y z (fractional)
P 0.3118 0.6882 0.7505
P 0.6882 0.3118 0.2505
H 0.5943 0.8217 0.7329
H 0.4057 0.1783 0.2329
H 0.1783 0.4057 0.7329
H 0.8217 0.5943 0.2329
F 0.3508 0.6492 0.0110
F 0.2748 0.7252 0.4908
F 0.8773 0.1227 0.2988
F 0.1227 0.8773 0.7988
F 0.7252 0.2748 0.9908
F 0.6492 0.3508 0.5110

# 5
Density functional theory data (PBE) for Si4H2O9 after structural relaxation.

Computed properties:
For the size of the total moment, the calculation gives 0.00 μB per cell. Its formation energy is -2827 meV/atom.

Lattice parameters (Å, degrees): 7.6188 7.6188 15.7319 76.03 76.03 90.00
Element x y z (fractional)
Si 0.3306 0.6694 0.2500
Si 0.9192 0.0808 0.2500
Si 0.0808 0.9192 0.7500
Si 0.6694 0.3306 0.7500
Si 0.3308 0.0816 0.2490
Si 0.9184 0.6692 0.2510
Si 0.0816 0.3308 0.7490
Si 0.6692 0.9184 0.7510
Si 0.6978 0.2489 0.1044
Si 0.6985 0.6542 0.1030
Si 0.3015 0.3458 0.8970
Si 0.3022 0.7511 0.8956
Si 0.7511 0.3022 0.3956
Si 0.3458 0.3015 0.3970
Si 0.6542 0.6985 0.6030
Si 0.2489 0.6978 0.6044
H 0.7725 0.2384 0.9555
H 0.7406 0.9444 0.0190
H 0.2594 0.0556 0.9810
H 0.2275 0.7616 0.0445
H 0.7616 0.2275 0.5445
H 0.0556 0.2594 0.4810
H 0.9444 0.7406 0.5190
H 0.2384 0.7725 0.4555
O 0.7423 0.1609 0.0162
O 0.7440 0.8175 0.0132
O 0.2560 0.1825 0.9868
O 0.2577 0.8391 0.9838
O 0.8391 0.2577 0.4838
O 0.1825 0.2560 0.4868
O 0.8175 0.7440 0.5132
O 0.1609 0.7423 0.5162
O 0.1783 0.8419 0.6641
O 0.6586 0.4914 0.6635
O 0.3414 0.5086 0.3365
O 0.8217 0.1581 0.3359
O 0.1758 0.4934 0.6624
O 0.6544 0.8425 0.6652
O 0.3456 0.1575 0.3348
O 0.8242 0.5066 0.3376
O 0.1581 0.8217 0.8359
O 0.5086 0.3414 0.8365
O 0.4914 0.6586 0.1635
O 0.8419 0.1783 0.1641
O 0.1575 0.3456 0.8348
O 0.5066 0.8242 0.8376
O 0.4934 0.1758 0.1624
O 0.8425 0.6544 0.1652
O 0.5331 0.2856 0.4308
O 0.4669 0.7144 0.5692
O 0.7144 0.4669 0.0692
O 0.2856 0.5331 0.9308
O 0.8616 0.3471 0.7779
O 0.8626 0.8744 0.7757
O 0.1374 0.1256 0.2243
O 0.1384 0.6529 0.2221
O 0.6529 0.1384 0.7221
O 0.1256 0.1374 0.7243
O 0.8744 0.8626 0.2757
O 0.3471 0.8616 0.2779

# 6
Density functional theory data (PBE) for CsSnSe3 after structural relaxation.

Computed properties:
Its formation energy is -969 meV/atom.

Lattice parameters (Å, degrees): 7.2145 8.1138 8.1172 102.65 106.50 113.74
Element x y z (fractional)
Cs 0.7777 0.1504 0.8128
Cs 0.2223 0.8496 0.1872
Sn 0.7809 0.5727 0.4933
Sn 0.2191 0.4273 0.5067
Se 0.3389 0.4315 0.2377
Se 0.8103 0.8693 0.3985
Se 0.6611 0.5685 0.7623
Se 0.7755 0.2721 0.2962
Se 0.2245 0.7279 0.7038
Se 0.1897 0.1307 0.6015

Repeat the fourth record exactly.
Density functional theory data (PBE) for PH2F3 after structural relaxation.

Computed properties:
As for the maximum piezoelectric response: 0.22 C/m2. Its formation energy is -1788 meV/atom.

Lattice parameters (Å, degrees): 5.0898 5.0898 6.2786 90.00 90.00 107.57
Element x y z (fractional)
P 0.3118 0.6882 0.7505
P 0.6882 0.3118 0.2505
H 0.5943 0.8217 0.7329
H 0.4057 0.1783 0.2329
H 0.1783 0.4057 0.7329
H 0.8217 0.5943 0.2329
F 0.3508 0.6492 0.0110
F 0.2748 0.7252 0.4908
F 0.8773 0.1227 0.2988
F 0.1227 0.8773 0.7988
F 0.7252 0.2748 0.9908
F 0.6492 0.3508 0.5110

Number 1 is which compound? ZrFeCo